Entry from Materials Project: CaP6H4N12 after structural relaxation (PBE).

Energy with MP2020 corrections, eV/cell: -330.209
Total magnetization, μB/f.u.: 0.00
Calculated total energy, Ha/atom: -0.257
Symmetry: Cmce
Energy of formation from the pure elements, meV per atom: -739.6

Cell lengths 4.9514, 5.0189, 22.4655 Å; angles 90.00, 90.00, 119.56 degrees
Last column: nearest neighbours and their distance in Å.
Fractional positions:
N (0.1604, 0.2992, 0.6700)  1 H 1.03
P (0.1685, 0.3276, 0.4055)  4 N 1.61-1.70
N (0.3613, 0.7008, 0.8300)  1 H 1.03
N (0.5099, 0.3932, 0.4266)  2 P 1.62
N (0.3834, 0.3932, 0.9266)  2 P 1.62
N (0.6166, 0.6068, 0.0734)  2 P 1.62
N (0.9901, 0.6068, 0.9266)  2 P 1.62
N (0.1166, 0.6068, 0.4266)  2 P 1.62
H (0.7800, 0.4990, 0.1922)  1 N 1.03
P (0.8410, 0.6724, 0.4055)  4 N 1.61-1.70
N (0.9042, 0.0000, 0.4304)  2 P 1.61
N (0.4901, 0.6068, 0.5734)  2 P 1.62
P (0.6685, 0.3276, 0.0945)  4 N 1.61-1.70
P (0.9198, 0.0000, 0.2865)  4 N 1.59-1.67
H (0.7190, 0.4990, 0.8078)  1 N 1.03
N (0.8613, 0.7008, 0.6700)  1 H 1.03
N (0.4017, 0.0000, 0.7275)  2 P 1.59-1.62
Ca (0.0000, 0.0000, 0.0000)  6 N 2.54-2.55
N (0.3396, 0.7008, 0.1700)  1 H 1.03
N (0.5958, 0.0000, 0.9304)  2 P 1.61
H (0.2810, 0.5010, 0.1922)  1 N 1.03
N (0.6387, 0.2992, 0.1700)  1 H 1.03
H (0.2800, 0.4990, 0.3078)  1 N 1.03
N (0.8834, 0.3932, 0.5734)  2 P 1.62
Ca (0.5000, 0.0000, 0.5000)  6 N 2.54-2.55
P (0.1590, 0.3276, 0.5945)  4 N 1.61-1.70
N (0.8396, 0.7008, 0.3300)  1 H 1.03
P (0.3410, 0.6724, 0.0945)  4 N 1.61-1.70
P (0.3315, 0.6724, 0.9055)  4 N 1.61-1.70
H (0.2200, 0.5010, 0.8078)  1 N 1.03
H (0.7810, 0.5010, 0.3078)  1 N 1.03
N (0.0958, 0.0000, 0.5696)  2 P 1.61
N (0.4042, 0.0000, 0.0696)  2 P 1.61
N (0.5983, 0.0000, 0.2725)  2 P 1.59-1.62
N (0.6604, 0.2992, 0.8300)  1 H 1.03
N (0.1387, 0.2992, 0.3300)  1 H 1.03
H (0.2190, 0.4990, 0.6922)  1 N 1.03
P (0.0802, 0.0000, 0.7135)  4 N 1.59-1.67
P (0.6590, 0.3276, 0.9055)  4 N 1.61-1.70
P (0.8315, 0.6724, 0.5945)  4 N 1.61-1.70
N (0.0099, 0.3932, 0.0734)  2 P 1.62
N (0.9017, 0.0000, 0.7725)  2 P 1.59-1.62
H (0.7200, 0.5010, 0.6922)  1 N 1.03
P (0.4198, 0.0000, 0.2135)  4 N 1.59-1.67
N (0.0983, 0.0000, 0.2275)  2 P 1.59-1.62
P (0.5802, 0.0000, 0.7865)  4 N 1.59-1.67

Entry from Materials Project: Fe3Pt after structural relaxation (PBE).

Total magnetization, μB/f.u.: 8.19
Calculated total energy, Ha/atom: -0.289
Symmetry: Cmmm
Energy of formation from the pure elements, meV per atom: 9.3

Cell lengths 2.6169, 2.6169, 8.1030 Å; angles 90.00, 90.00, 108.22 degrees
Last column: nearest neighbours and their distance in Å.
Fractional positions:
Fe (0.5000, 0.5000, 0.7355)  6 Fe 2.45-2.62, 2 Pt 2.64
Fe (0.5000, 0.5000, 0.2645)  6 Fe 2.45-2.62, 2 Pt 2.64
Fe (0.0000, 0.0000, 0.5000)  8 Fe 2.45-2.62
Pt (0.0000, 0.0000, 0.0000)  4 Pt 2.62, 4 Fe 2.64

Entry from Materials Project: MgTi2O4 after structural relaxation (PBE).

Energy with MP2020 corrections, eV/cell: -58.921
Total magnetization, μB/f.u.: 0.00
Calculated total energy, Ha/atom: -0.295
Symmetry: Imm2
Energy of formation from the pure elements, meV per atom: -3105.5
E above lowest polymorph, eV/atom: 0.116

Cell lengths 3.8990, 4.2169, 5.4307 Å; angles 112.85, 111.04, 90.00 degrees
Last column: nearest neighbours and their distance in Å.
Fractional positions:
O (0.5018, 0.0018, 0.0037)  2 Ti 1.96
O (0.0119, 0.5119, 0.0238)  3 Ti 1.91-2.11, 1 Mg 1.98
Ti (0.0202, 0.0202, 0.0405)  5 O 1.96-2.11
Ti (0.2195, 0.7195, 0.4389)  5 O 1.91-2.12
O (0.7801, 0.7801, 0.5602)  3 Ti 2.03-2.21, 2 Mg 2.11
Mg (0.7969, 0.2969, 0.5937)  5 O 1.98-2.11
O (0.2410, 0.2410, 0.4821)  2 Mg 2.02, 3 Ti 2.04-2.12

Entry from Materials Project: TmZnPd after structural relaxation (PBE).

Total magnetization, μB/f.u.: 0.00
Calculated total energy, Ha/atom: -0.162
Symmetry: Pnma
Energy of formation from the pure elements, meV per atom: -775.0
E above lowest polymorph, eV/atom: 0.000

Cell lengths 4.0316, 7.0363, 8.2104 Å; angles 90.00, 90.00, 90.00 degrees
Last column: nearest neighbours and their distance in Å.
Fractional positions:
Zn (0.2500, 0.1301, 0.0636)  4 Pd 2.68-2.75, 2 Zn 2.92
Pd (0.7500, 0.2552, 0.8770)  4 Zn 2.68-2.75, 5 Tm 2.89-2.94
Pd (0.2500, 0.2448, 0.3770)  4 Zn 2.68-2.75, 5 Tm 2.89-2.94
Zn (0.2500, 0.6301, 0.4364)  4 Pd 2.68-2.75, 2 Zn 2.92
Tm (0.7500, 0.9495, 0.3126)  5 Pd 2.89-2.94, 5 Zn 3.14-3.19
Tm (0.7500, 0.4495, 0.1874)  5 Pd 2.89-2.94, 5 Zn 3.14-3.19
Tm (0.2500, 0.5505, 0.8126)  5 Pd 2.89-2.94, 5 Zn 3.14-3.19
Tm (0.2500, 0.0505, 0.6874)  5 Pd 2.89-2.94, 5 Zn 3.14-3.19
Zn (0.7500, 0.3699, 0.5636)  4 Pd 2.68-2.75, 2 Zn 2.92
Pd (0.7500, 0.7552, 0.6230)  4 Zn 2.68-2.75, 5 Tm 2.89-2.94
Zn (0.7500, 0.8699, 0.9364)  4 Pd 2.68-2.75, 2 Zn 2.92
Pd (0.2500, 0.7448, 0.1230)  4 Zn 2.68-2.75, 5 Tm 2.89-2.94

Entry from Materials Project: Ti11O18 after structural relaxation (PBE).

Energy with MP2020 corrections, eV/cell: -273.038
Calculated total energy, Ha/atom: -0.330
Symmetry: P1
Energy of formation from the pure elements, meV per atom: -3349.1

Cell lengths 5.5242, 7.5085, 8.7983 Å; angles 113.06, 105.41, 96.34 degrees
Last column: nearest neighbours and their distance in Å.
Fractional positions:
Ti (0.3145, 0.3371, 0.0039)  6 O 1.90-2.07
O (0.3718, 0.6251, 0.4411)  4 Ti 2.01-2.14
O (0.9625, 0.7087, 0.2292)  4 Ti 2.01-2.09
O (0.5924, 0.3645, 0.8905)  3 Ti 1.92-2.07
O (0.7311, 0.9811, 0.4576)  4 Ti 2.00-2.19
O (0.6286, 0.3743, 0.5661)  4 Ti 2.01-2.15
Ti (0.9679, 0.0112, 0.3263)  5 O 1.90-2.08
O (0.9427, 0.6888, 0.8762)  4 Ti 2.00-2.10
Ti (0.3648, 0.3209, 0.3370)  6 O 1.95-2.10
O (0.0607, 0.3109, 0.4367)  4 Ti 2.01-2.10
Ti (0.6435, 0.6887, 0.6707)  5 O 1.89-2.10
Ti (0.9633, 0.4980, 0.3167)  6 O 1.93-2.14
O (0.6987, 0.9475, 0.1136)  3 Ti 1.90-2.03
O (0.2710, 0.0209, 0.5397)  4 Ti 2.02-2.13
O (0.7160, 0.9679, 0.7488)  3 Ti 1.89-2.05
O (0.0437, 0.2899, 0.7732)  4 Ti 2.03-2.11
Ti (0.6952, 0.6531, 0.9978)  6 O 1.94-2.10
O (0.2707, 0.0192, 0.2299)  4 Ti 2.01-2.10
Ti (0.6389, 0.1792, 0.6824)  5 O 1.92-2.11
O (0.3984, 0.6409, 0.1029)  4 Ti 2.00-2.20
O (0.3945, 0.6500, 0.7913)  4 Ti 2.01-2.10
O (0.6005, 0.3654, 0.2178)  3 Ti 1.93-2.03
O (0.2696, 0.0390, 0.8917)  3 Ti 1.93-2.02
Ti (0.0248, 0.9825, 0.6639)  6 O 1.95-2.10
O (0.0926, 0.3321, 0.1350)  3 Ti 1.90-2.04
Ti (0.3219, 0.8612, 0.0008)  5 O 1.93-2.08
Ti (0.3653, 0.8171, 0.3325)  6 O 2.00-2.11
O (0.9380, 0.6844, 0.5599)  4 Ti 2.00-2.10
Ti (0.0253, 0.4858, 0.6668)  6 O 2.01-2.09

Entry from Materials Project: Mg14MnAl after structural relaxation (PBE).

Total magnetization, μB/f.u.: 3.92
Calculated total energy, Ha/atom: -0.079
Symmetry: Amm2
Energy of formation from the pure elements, meV per atom: 48.8
E above lowest polymorph, eV/atom: 0.000

Cell lengths 6.2404, 6.2210, 10.2169 Å; angles 90.00, 90.00, 119.90 degrees
Last column: nearest neighbours and their distance in Å.
Fractional positions:
Mg (0.8367, 0.1683, 0.3721)  1 Al 3.09, 11 Mg 3.09-3.15
Mg (0.3294, 0.6661, 0.8850)  1 Mn 3.03, 1 Al 3.04, 10 Mg 3.06-3.22
Mg (0.3294, 0.1633, 0.8850)  1 Mn 3.03, 1 Al 3.04, 10 Mg 3.06-3.22
Mg (0.8367, 0.1683, 0.8779)  1 Al 3.09, 11 Mg 3.09-3.15
Mg (0.1676, 0.8338, 0.6250)  12 Mg 3.11-3.20
Mg (0.6657, 0.3324, 0.6250)  12 Mg 3.11-3.22
Mg (0.8384, 0.6692, 0.3704)  1 Mn 3.06, 11 Mg 3.07-3.17
Al (0.1646, 0.3323, 0.1250)  10 Mg 3.04-3.14, 2 Mn 3.11
Mg (0.6688, 0.3351, 0.1250)  8 Mg 3.06-3.12, 2 Mn 3.10-3.15, 2 Al 3.10-3.14
Mg (0.6688, 0.8338, 0.1250)  8 Mg 3.06-3.12, 2 Mn 3.10-3.15, 2 Al 3.10-3.14
Mg (0.6657, 0.8332, 0.6250)  12 Mg 3.11-3.22
Mg (0.3294, 0.1633, 0.3650)  1 Mn 3.03, 1 Al 3.04, 10 Mg 3.06-3.22
Mg (0.1671, 0.3336, 0.6250)  12 Mg 3.11-3.21
Mg (0.3294, 0.6661, 0.3650)  1 Mn 3.03, 1 Al 3.04, 10 Mg 3.06-3.22
Mn (0.1639, 0.8319, 0.1250)  10 Mg 3.03-3.15, 2 Al 3.11
Mg (0.8384, 0.6692, 0.8796)  1 Mn 3.06, 11 Mg 3.07-3.17